Entry from the Materials Project database: an optimized crystal structure of Eu5Si3 (GGA-PBE).

POSCAR file:
```
Eu5Si3
1.0
-3.900 3.900 7.488
3.900 -3.900 7.488
3.900 3.900 -7.488
Eu Si
10 6
Cartesian
1.386 2.513 9.658
2.513 1.386 -2.169
1.386 2.513 5.319
1.386 5.286 2.169
0.000 0.000 7.488
2.513 1.386 2.169
2.513 -1.386 9.658
1.386 5.286 -2.169
2.513 -1.386 5.319
0.000 0.000 0.000
0.000 0.000 3.744
3.038 0.861 7.488
0.861 3.038 0.000
4.761 0.861 0.000
-0.861 3.038 7.488
0.000 0.000 11.233
```

Properties
The formation energy comes out at -0.483 eV per atom. Its corrected total energy (MP2020 scheme) is -142.84 eV/cell. Its volume is 227.77 Å³/f.u.